Here is Li8Mn7FeB8O24 after structural relaxation from the Materials Project. Energies are from GGA+U.

abc: 5.249 9.116 10.511
angles: 88.22 89.13 89.86
Sites, in units of the cell vectors:
Li 0.000 0.000 0.000
Li 0.016 0.995 0.500
Li 0.326 0.343 0.249
Li 0.367 0.329 0.750
Li 0.499 0.500 0.000
Li 0.517 0.495 0.500
Li 0.826 0.844 0.250
Li 0.867 0.830 0.750
Mn 0.010 0.667 0.465
Mn 0.011 0.333 0.965
Mn 0.338 0.009 0.217
Mn 0.358 0.668 0.715
Mn 0.510 0.834 0.966
Mn 0.838 0.508 0.215
Mn 0.855 0.168 0.713
Fe 0.503 0.169 0.465
B 0.005 0.334 0.458
B 0.016 0.667 0.958
B 0.336 0.671 0.208
B 0.352 0.999 0.707
B 0.509 0.837 0.458
B 0.516 0.167 0.958
B 0.836 0.171 0.209
B 0.853 0.498 0.708
O 0.001 0.379 0.748
O 0.083 0.685 0.249
O 0.091 0.984 0.693
O 0.269 0.344 0.445
O 0.276 0.651 0.927
O 0.358 0.961 0.429
O 0.373 0.045 0.000
O 0.397 0.705 0.499
O 0.403 0.304 0.943
O 0.444 0.533 0.194
O 0.467 0.134 0.676
O 0.482 0.796 0.178
O 0.501 0.880 0.748
O 0.584 0.186 0.250
O 0.592 0.484 0.693
O 0.771 0.848 0.443
O 0.775 0.151 0.927
O 0.857 0.458 0.428
O 0.873 0.545 0.000
O 0.889 0.203 0.497
O 0.903 0.804 0.943
O 0.945 0.033 0.194
O 0.968 0.634 0.678
O 0.983 0.296 0.178

As for the energy of formation from the pure elements: -2485 meV per atom. The space group is P1. The calculation puts the total moment at 39.00 μB/f.u. The theoretical density comes out at 3.19 g/cm3. As for the total energy: -7.27 eV/atom.